No. 1
Below is an optimized crystal structure of GaAsH4O6, with properties calculated at the PBE-GGA level.

Lattice parameters (Å, degrees): 8.9707 10.2663 10.5477 90.00 90.00 90.00
Element x y z (fractional)
Ga 0.8585 0.8327 0.8716
Ga 0.3585 0.6673 0.1284
Ga 0.1415 0.3327 0.6284
Ga 0.6415 0.1673 0.3716
Ga 0.1415 0.1673 0.1284
Ga 0.6415 0.3327 0.8716
Ga 0.8585 0.6673 0.3716
Ga 0.3585 0.8327 0.6284
As 0.5430 0.6520 0.8507
As 0.0430 0.8480 0.1493
As 0.4570 0.1520 0.6493
As 0.9570 0.3480 0.3507
As 0.4570 0.3480 0.1493
As 0.9570 0.1520 0.8507
As 0.5430 0.8480 0.3507
As 0.0430 0.6520 0.6493
H 0.6914 0.8121 0.6774
H 0.1914 0.6879 0.3226
H 0.3086 0.3121 0.8226
H 0.8086 0.1879 0.1774
H 0.3086 0.1879 0.3226
H 0.8086 0.3121 0.6774
H 0.6914 0.6879 0.1774
H 0.1914 0.8121 0.8226
H 0.6779 0.9537 0.7111
H 0.1779 0.5463 0.2889
H 0.3221 0.4537 0.7889
H 0.8221 0.0463 0.2111
H 0.3221 0.0463 0.2889
H 0.8221 0.4537 0.7111
H 0.6779 0.5463 0.2111
H 0.1779 0.9537 0.7889
H 0.6595 0.9360 0.0358
H 0.1595 0.5640 0.9642
H 0.3405 0.4360 0.4642
H 0.8405 0.0640 0.5358
H 0.3405 0.0640 0.9642
H 0.8405 0.4360 0.0358
H 0.6595 0.5640 0.5358
H 0.1595 0.9360 0.4642
H 0.6994 0.0392 0.9268
H 0.1994 0.4608 0.0732
H 0.3006 0.5392 0.5732
H 0.8006 0.9608 0.4268
H 0.3006 0.9608 0.0732
H 0.8006 0.5392 0.9268
H 0.6994 0.4608 0.4268
H 0.1994 0.0392 0.5732
O 0.5165 0.7225 0.7036
O 0.0165 0.7775 0.2964
O 0.4835 0.2225 0.7964
O 0.9835 0.2775 0.2036
O 0.4835 0.2775 0.2964
O 0.9835 0.2225 0.7036
O 0.5165 0.7775 0.2036
O 0.0165 0.7225 0.7964
O 0.5131 0.4868 0.8442
O 0.0131 0.0132 0.1558
O 0.4869 0.9868 0.6558
O 0.9869 0.5132 0.3442
O 0.4869 0.5132 0.1558
O 0.9869 0.9868 0.8442
O 0.5131 0.0132 0.3442
O 0.0131 0.4868 0.6558
O 0.4221 0.7152 0.9583
O 0.9221 0.7848 0.0417
O 0.5779 0.2152 0.5417
O 0.0779 0.2848 0.4583
O 0.5779 0.2848 0.0417
O 0.0779 0.2152 0.9583
O 0.4221 0.7848 0.4583
O 0.9221 0.7152 0.5417
O 0.7312 0.6741 0.8814
O 0.2312 0.8259 0.1186
O 0.2688 0.1741 0.6186
O 0.7688 0.3259 0.3814
O 0.2688 0.3259 0.1186
O 0.7688 0.1741 0.8814
O 0.7312 0.8259 0.3814
O 0.2312 0.6741 0.6186
O 0.7565 0.8858 0.7024
O 0.2565 0.6142 0.2976
O 0.2435 0.3858 0.7976
O 0.7435 0.1142 0.2024
O 0.2435 0.1142 0.2976
O 0.7435 0.3858 0.7024
O 0.7565 0.6142 0.2024
O 0.2565 0.8858 0.7976
O 0.6810 0.9436 0.9454
O 0.1810 0.5564 0.0546
O 0.3190 0.4436 0.5546
O 0.8190 0.0564 0.4454
O 0.3190 0.0564 0.0546
O 0.8190 0.4436 0.9454
O 0.6810 0.5564 0.4454
O 0.1810 0.9436 0.5546

## Properties
Its energy relative to the lowest polymorph listed for this composition is 21 meV/atom. The formation energy is -1.567 eV per atom. The value obtained for the spin magnetization is 0.0000 μB/atom.


No. 2
Below is an optimized crystal structure of InGa5As4, with properties calculated at the PBE-GGA level.

Lattice parameters (Å, degrees): 4.1106 4.1106 17.5243 96.74 83.26 120.00
Element x y z (fractional)
In 0.3541 0.6459 0.9377
Ga 0.9920 0.0080 0.0241
Ga 0.5958 0.4042 0.2127
Ga 0.1993 0.8007 0.4022
Ga 0.8028 0.1972 0.5916
Ga 0.4061 0.5939 0.7818
As 0.9452 0.0548 0.1643
As 0.5482 0.4518 0.3554
As 0.1515 0.8485 0.5456
As 0.7552 0.2448 0.7345

## Properties
The formation energy is -0.212 eV per atom. The value obtained for the spin magnetization is 0.0000 μB/atom.


No. 3
Below is an optimized crystal structure of In2GaAs3, with properties calculated at the PBE-GGA level.

Lattice parameters (Å, degrees): 9.5523 9.5523 9.5523 154.11 154.11 36.95
Element x y z (fractional)
In 0.3368 0.3368 0.0000
In 0.6632 0.6632 0.0000
Ga 0.0000 0.0000 0.0000
As 0.2500 0.7500 0.5000
As 0.5755 0.0755 0.5000
As 0.9245 0.4245 0.5000

## Properties
The formation energy is -0.246 eV per atom. The value obtained for the spin magnetization is 0.0000 μB/atom.


No. 4
Below is an optimized crystal structure of K3Ga3As4, with properties calculated at the PBE-GGA level.

Lattice parameters (Å, degrees): 6.7279 10.8324 15.1916 90.00 90.00 90.00
Element x y z (fractional)
K 0.0600 0.3791 0.5948
K 0.0600 0.1209 0.9052
K 0.5600 0.8791 0.9052
K 0.7500 0.0790 0.5000
K 0.9400 0.8791 0.0948
K 0.5600 0.6209 0.5948
K 0.9400 0.6209 0.4052
K 0.2500 0.5790 0.0000
K 0.7500 0.4210 0.0000
K 0.4400 0.3791 0.4052
K 0.4400 0.1209 0.0948
K 0.2500 0.9210 0.5000
Ga 0.4023 0.1113 0.7167
Ga 0.9023 0.6113 0.7833
Ga 0.0977 0.3887 0.2167
Ga 0.4023 0.3887 0.7833
Ga 0.3081 0.7500 0.7500
Ga 0.8081 0.2500 0.7500
Ga 0.5977 0.8887 0.2833
Ga 0.9023 0.8887 0.7167
Ga 0.1919 0.7500 0.2500
Ga 0.6919 0.2500 0.2500
Ga 0.5977 0.6113 0.2167
Ga 0.0977 0.1113 0.2833
As 0.0406 0.0948 0.6756
As 0.0405 0.8059 0.8630
As 0.4595 0.8059 0.1370
As 0.4594 0.4052 0.1756
As 0.5406 0.5948 0.8244
As 0.5406 0.9052 0.6756
As 0.0405 0.6941 0.6370
As 0.0406 0.4052 0.8244
As 0.9595 0.1941 0.1370
As 0.5405 0.1941 0.8630
As 0.9594 0.9052 0.3244
As 0.4594 0.0948 0.3244
As 0.9595 0.3059 0.3630
As 0.5405 0.3059 0.6370
As 0.4595 0.6941 0.3630
As 0.9594 0.5948 0.1756

## Properties
The formation energy is -0.464 eV per atom.


Number 1: V 10.1 Å³/atom, energy -5.469 eV/atom. Number 2: V 25.4 Å³/atom, energy -3.864 eV/atom. Number 3: V 27.7 Å³/atom, energy -3.998 eV/atom. Number 4: V 27.7 Å³/atom, energy -3.569 eV/atom.